Below is an optimized crystal structure of Nb10Ge6C, with properties calculated at the PBE level.

Results
DFT formation energy ... -0.534 eV per atom

a b c (Å): 7.7225 7.7225 5.3555
angles (deg): 90.00 90.00 120.00
Last column: nearest neighbours and their distance in Å.
Sites, in units of the cell vectors:
Nb 0.6667 0.3333 0.0000  2 Nb 2.68, 6 Ge 2.70
Nb 0.6667 0.3333 0.5000  2 Nb 2.68, 6 Ge 2.73
Ge 0.3982 0.3982 0.7550  9 Nb 2.68-2.96
Nb 0.2377 0.0000 0.7437  1 C 2.25
C 0.0000 0.0000 0.5000  6 Nb 2.25
Ge 0.6018 0.6018 0.2450  9 Nb 2.68-2.96
Nb 0.3333 0.6667 0.0000  2 Nb 2.68, 6 Ge 2.70
Nb 0.3333 0.6667 0.5000  2 Nb 2.68, 6 Ge 2.73
Nb 0.2377 0.2377 0.2563  1 C 2.25
Nb 0.7623 0.7623 0.7437  1 C 2.25
Ge 0.0000 0.6018 0.7550  9 Nb 2.68-2.96
Ge 0.3982 0.0000 0.2450  9 Nb 2.68-2.96
Ge 0.6018 0.0000 0.7550  9 Nb 2.68-2.96
Nb 0.0000 0.2377 0.7437  1 C 2.25
Ge 0.0000 0.3982 0.2450  9 Nb 2.68-2.96
Nb 0.7623 0.0000 0.2563  1 C 2.25
Nb 0.0000 0.7623 0.2563  1 C 2.25

Below is an optimized crystal structure of Nd15Ge9C, with properties calculated at the PBE level.

Results
DFT formation energy ... -0.685 eV per atom

a b c (Å): 6.7844 15.3470 15.3470
angles (deg): 120.00 90.00 90.00
Last column: nearest neighbours and their distance in Å.
Sites, in units of the cell vectors:
Ge 0.7228 0.8673 0.1327  8 Nd 3.09-3.38, 1 Ge 3.44
Nd 0.9997 0.9826 0.3249  6 Ge 3.14-3.26, 2 Nd 3.42
Ge 0.7228 0.2654 0.1327  8 Nd 3.09-3.38, 1 Ge 3.44
Nd 0.2112 0.2547 0.5093  1 C 2.57
Nd 0.2708 0.8251 0.4126  1 C 2.58
Ge 0.2861 0.8018 0.6036  8 Nd 3.12-3.26, 1 Ge 3.44
Nd 0.4997 0.6578 0.9826  6 Ge 3.14-3.26, 2 Nd 3.42
C 0.9904 0.3333 0.6667  6 Nd 2.57-2.58
Nd 0.4997 0.0174 0.3422  6 Ge 3.14-3.26, 2 Nd 3.42
Nd 0.9997 0.6751 0.6578  6 Ge 3.14-3.26, 2 Nd 3.42
Ge 0.2228 0.7346 0.8673  8 Nd 3.09-3.38, 1 Ge 3.44
Ge 0.2349 0.0656 0.5328  8 Nd 3.10-3.47
Nd 0.7112 0.5093 0.2547  1 C 2.57
Nd 0.2708 0.5874 0.1749  1 C 2.58
Nd 0.7112 0.7453 0.2547  1 C 2.57
Nd 0.7674 0.8383 0.9192  4 Ge 3.09-3.38
Nd 0.9997 0.6751 0.0174  6 Ge 3.14-3.26, 2 Nd 3.42
Ge 0.2228 0.1327 0.8673  8 Nd 3.09-3.38, 1 Ge 3.44
Nd 0.9997 0.3422 0.3249  6 Ge 3.14-3.26, 2 Nd 3.42
Ge 0.7861 0.6036 0.8018  8 Nd 3.12-3.26, 1 Ge 3.44
Ge 0.2349 0.4672 0.5328  8 Nd 3.10-3.47
Ge 0.2861 0.3964 0.1982  8 Nd 3.12-3.26, 1 Ge 3.44
Nd 0.9997 0.9826 0.6578  6 Ge 3.14-3.26, 2 Nd 3.42
Ge 0.7349 0.9344 0.4672  8 Nd 3.10-3.47
Ge 0.7861 0.1982 0.8018  8 Nd 3.12-3.26, 1 Ge 3.44
Nd 0.7674 0.0808 0.9192  4 Ge 3.09-3.38
Nd 0.9997 0.3422 0.0174  6 Ge 3.14-3.26, 2 Nd 3.42
Nd 0.4997 0.0174 0.6751  6 Ge 3.14-3.26, 2 Nd 3.42
Nd 0.7708 0.1749 0.5874  1 C 2.58
Ge 0.7349 0.5328 0.0656  8 Nd 3.10-3.47
Ge 0.7349 0.5328 0.4672  8 Nd 3.10-3.47
Nd 0.2674 0.9192 0.0808  4 Ge 3.09-3.38
Nd 0.2708 0.5874 0.4126  1 C 2.58
C 0.4904 0.6667 0.3333  6 Nd 2.57-2.58
Nd 0.2674 0.1617 0.0808  4 Ge 3.09-3.38
Nd 0.4997 0.3249 0.3422  6 Ge 3.14-3.26, 2 Nd 3.42
Ge 0.2228 0.1327 0.2654  8 Nd 3.09-3.38, 1 Ge 3.44
Nd 0.4997 0.6578 0.6751  6 Ge 3.14-3.26, 2 Nd 3.42
Nd 0.2674 0.9192 0.8383  4 Ge 3.09-3.38
Nd 0.4997 0.3249 0.9826  6 Ge 3.14-3.26, 2 Nd 3.42
Nd 0.7708 0.4126 0.8251  1 C 2.58
Nd 0.7112 0.7453 0.4907  1 C 2.57
Ge 0.7861 0.1982 0.3964  8 Nd 3.12-3.26, 1 Ge 3.44
Nd 0.7708 0.4126 0.5874  1 C 2.58
Nd 0.2112 0.2547 0.7453  1 C 2.57
Ge 0.7228 0.8673 0.7346  8 Nd 3.09-3.38, 1 Ge 3.44
Nd 0.7674 0.0808 0.1617  4 Ge 3.09-3.38
Ge 0.2861 0.8018 0.1982  8 Nd 3.12-3.26, 1 Ge 3.44
Nd 0.2112 0.4907 0.7453  1 C 2.57
Ge 0.2349 0.4672 0.9344  8 Nd 3.10-3.47

Below is an optimized crystal structure of Nd5Ge3C, with properties calculated at the PBE level.

Results
DFT formation energy ... -0.596 eV per atom

a b c (Å): 8.8488 8.8488 6.7614
angles (deg): 90.00 90.00 120.00
Last column: nearest neighbours and their distance in Å.
Sites, in units of the cell vectors:
Nd 0.2223 0.0000 0.7500  2 C 2.59
C 0.0000 0.0000 0.0000  6 Nd 2.59
Nd 0.7777 0.0000 0.2500  2 C 2.59
Nd 0.6667 0.3333 0.0000  6 Ge 3.17, 2 Nd 3.38
Ge 0.0000 0.5910 0.7500  7 Nd 3.14-3.26
Ge 0.5910 0.0000 0.7500  7 Nd 3.14-3.26
Nd 0.6667 0.3333 0.5000  6 Ge 3.17, 2 Nd 3.38
Nd 0.2223 0.2223 0.2500  2 C 2.59
Nd 0.0000 0.7777 0.2500  2 C 2.59
Ge 0.4090 0.4090 0.7500  7 Nd 3.14-3.26
Nd 0.7777 0.7777 0.7500  2 C 2.59
Nd 0.3333 0.6667 0.5000  6 Ge 3.17, 2 Nd 3.38
Nd 0.3333 0.6667 0.0000  6 Ge 3.17, 2 Nd 3.38
Ge 0.0000 0.4090 0.2500  7 Nd 3.14-3.26
Nd 0.0000 0.2223 0.7500  2 C 2.59
Ge 0.5910 0.5910 0.2500  7 Nd 3.14-3.26
C 0.0000 0.0000 0.5000  6 Nd 2.59
Ge 0.4090 0.0000 0.2500  7 Nd 3.14-3.26

Below is an optimized crystal structure of Pr5Ge3C, with properties calculated at the PBE level.

Results
DFT formation energy ... -0.567 eV per atom

a b c (Å): 8.9175 8.9175 6.8576
angles (deg): 90.00 90.00 120.00
Last column: nearest neighbours and their distance in Å.
Sites, in units of the cell vectors:
Ge 0.0000 0.4097 0.2500  7 Pr 3.17-3.28
Pr 0.3333 0.6667 0.5000  6 Ge 3.20, 2 Pr 3.43
Pr 0.3333 0.6667 0.0000  6 Ge 3.20, 2 Pr 3.43
Ge 0.4097 0.4097 0.7500  7 Pr 3.17-3.28
Ge 0.0000 0.5903 0.7500  7 Pr 3.17-3.28
Pr 0.0000 0.7777 0.2500  2 C 2.62
Pr 0.7777 0.0000 0.2500  2 C 2.62
Pr 0.6667 0.3333 0.5000  6 Ge 3.20, 2 Pr 3.43
Pr 0.2223 0.2223 0.2500  2 C 2.62
Ge 0.5903 0.5903 0.2500  7 Pr 3.17-3.28
C 0.0000 0.0000 0.5000  6 Pr 2.62
Ge 0.5903 0.0000 0.7500  7 Pr 3.17-3.28
Pr 0.0000 0.2223 0.7500  2 C 2.62
C 0.0000 0.0000 0.0000  6 Pr 2.62
Ge 0.4097 0.0000 0.2500  7 Pr 3.17-3.28
Pr 0.6667 0.3333 0.0000  6 Ge 3.20, 2 Pr 3.43
Pr 0.7777 0.7777 0.7500  2 C 2.62
Pr 0.2223 0.0000 0.7500  2 C 2.62

Below is an optimized crystal structure of Sm5Ge3C, with properties calculated at the PBE level.

Results
DFT formation energy ... -0.646 eV per atom

a b c (Å): 8.7361 8.7361 6.6486
angles (deg): 90.00 90.00 120.00
Last column: nearest neighbours and their distance in Å.
Sites, in units of the cell vectors:
Sm 0.7776 0.0000 0.2500  2 C 2.56
C 0.0000 0.0000 0.0000  6 Sm 2.56
Sm 0.2224 0.2224 0.2500  2 C 2.56
Ge 0.5931 0.5931 0.2500  7 Sm 3.08-3.24
Sm 0.0000 0.2224 0.7500  2 C 2.56
Sm 0.0000 0.7776 0.2500  2 C 2.56
Sm 0.3333 0.6667 0.0000  6 Ge 3.13, 2 Sm 3.32
Ge 0.4069 0.0000 0.2500  7 Sm 3.08-3.24
Ge 0.0000 0.5931 0.7500  7 Sm 3.08-3.24
Sm 0.3333 0.6667 0.5000  6 Ge 3.13, 2 Sm 3.32
Ge 0.4069 0.4069 0.7500  7 Sm 3.08-3.24
Sm 0.2224 0.0000 0.7500  2 C 2.56
C 0.0000 0.0000 0.5000  6 Sm 2.56
Sm 0.6667 0.3333 0.0000  6 Ge 3.13, 2 Sm 3.32
Sm 0.6667 0.3333 0.5000  6 Ge 3.13, 2 Sm 3.32
Ge 0.0000 0.4069 0.2500  7 Sm 3.08-3.24
Sm 0.7776 0.7776 0.7500  2 C 2.56
Ge 0.5931 0.0000 0.7500  7 Sm 3.08-3.24

Below is an optimized crystal structure of V3GeC, with properties calculated at the PBE level.

Results
DFT formation energy ... -0.473 eV per atom

a b c (Å): 5.2489 5.2489 7.8882
angles (deg): 90.00 90.00 146.09
Last column: nearest neighbours and their distance in Å.
Sites, in units of the cell vectors:
V 0.0393 0.9607 0.7500  2 C 2.01
C 0.0000 0.0000 0.5000  6 V 2.01-2.04
V 0.6285 0.3715 0.4518  2 C 2.04
V 0.9607 0.0393 0.2500  2 C 2.01
V 0.3715 0.6285 0.9518  2 C 2.04
C 0.0000 0.0000 0.0000  6 V 2.01-2.04
V 0.3715 0.6285 0.5482  2 C 2.04
Ge 0.2556 0.7444 0.2500  8 V 2.55-2.62
Ge 0.7444 0.2556 0.7500  8 V 2.55-2.62
V 0.6285 0.3715 0.0482  2 C 2.04

Below is an optimized crystal structure of Y5Ge3C, with properties calculated at the PBE level.

Results
DFT formation energy ... -0.742 eV per atom

a b c (Å): 8.5287 8.5287 6.4621
angles (deg): 90.00 90.00 119.87
Last column: nearest neighbours and their distance in Å.
Sites, in units of the cell vectors:
Y 0.3338 0.6662 0.0000  6 Ge 3.04-3.06, 2 Y 3.23
Ge 0.4067 0.4067 0.2500  7 Y 3.01-3.17
Y 0.9997 0.7787 0.7500  2 C 2.48
Y 0.7787 0.9997 0.7500  2 C 2.48
Y 0.2213 0.0003 0.2500  2 C 2.48
Ge 0.4072 0.0000 0.7500  7 Y 3.01-3.17
Y 0.3338 0.6662 0.5000  6 Ge 3.04-3.06, 2 Y 3.23
Y 0.6662 0.3338 0.0000  6 Ge 3.04-3.06, 2 Y 3.23
Ge 0.5928 0.0000 0.2500  7 Y 3.01-3.17
Ge 0.5933 0.5933 0.7500  7 Y 3.01-3.17
C 0.0000 0.0000 0.0000  6 Y 2.48-2.50
Ge 0.0000 0.5928 0.2500  7 Y 3.01-3.17
Y 0.0003 0.2213 0.2500  2 C 2.48
Y 0.2227 0.2227 0.7500  2 C 2.50
Y 0.7773 0.7773 0.2500  2 C 2.50
C 0.0000 0.0000 0.5000  6 Y 2.48-2.50
Ge 0.0000 0.4072 0.7500  7 Y 3.01-3.17
Y 0.6662 0.3338 0.5000  6 Ge 3.04-3.06, 2 Y 3.23

Below is an optimized crystal structure of Hg2H12C4I5N, with properties calculated at the PBE level.

Results
DFT formation energy ... -0.236 eV per atom

a b c (Å): 14.2606 14.7846 18.5761
angles (deg): 90.00 90.00 90.00
Last column: nearest neighbours and their distance in Å.
Sites, in units of the cell vectors:
H 0.5507 0.9762 0.4223  1 C 1.09
N 0.5742 0.0927 0.3573  4 C 1.51
I 0.0046 0.2555 0.6100  2 Hg 2.83-3.13
H 0.4556 0.0422 0.2993  1 C 1.10
H 0.5425 0.8182 0.6330  1 C 1.09
H 0.0444 0.5422 0.7007  1 C 1.10
H 0.5507 0.4762 0.0777  1 C 1.09
C 0.9678 0.5355 0.7018  3 H 1.10
H 0.7080 0.5305 0.1389  1 C 1.09
H 0.0507 0.0238 0.0777  1 C 1.09
H 0.3858 0.9349 0.5345  1 C 1.10
H 0.4321 0.7721 0.6040  1 C 1.10
H 0.3011 0.3802 0.7957  1 C 1.10
C 0.4674 0.8136 0.6448  3 H 1.09-1.10
H 0.0435 0.7843 0.1983  1 C 1.10
Hg 0.2808 0.2115 0.1149  2 I 2.72-2.73
H 0.9407 0.0589 0.7459  1 C 1.10
Hg 0.9241 0.5999 0.9537  4 I 2.81-3.08
I 0.0508 0.4452 0.9004  2 Hg 2.81-3.08
H 0.6142 0.0651 0.4655  1 C 1.10
H 0.0530 0.5351 0.3066  1 C 1.10
I 0.9492 0.5548 0.0996  2 Hg 2.81-3.08
I 0.2437 0.6701 0.5252  1 Hg 2.73
I 0.7515 0.0827 0.1159  2 Hg 2.83-3.07
I 0.2515 0.4173 0.1159  2 Hg 2.83-3.07
H 0.0435 0.2843 0.3017  1 C 1.10
C 0.5326 0.6864 0.1448  3 H 1.09-1.10
Hg 0.5759 0.5999 0.4537  4 I 2.81-3.08
Hg 0.7808 0.2885 0.1149  2 I 2.72-2.73
H 0.9493 0.9762 0.9223  1 C 1.09
H 0.4902 0.0765 0.4525  1 C 1.10
H 0.9902 0.4235 0.4525  1 C 1.10
H 0.7920 0.5305 0.6389  1 C 1.09
I 0.7485 0.5827 0.8841  2 Hg 2.83-3.07
H 0.9556 0.4578 0.2993  1 C 1.10
H 0.5530 0.9649 0.3066  1 C 1.10
C 0.0326 0.8136 0.1448  3 H 1.09-1.10
H 0.5593 0.5589 0.2541  1 C 1.10
H 0.5444 0.9578 0.7007  1 C 1.10
H 0.4470 0.0351 0.6934  1 C 1.10
I 0.4954 0.7555 0.3900  2 Hg 2.83-3.13
N 0.9258 0.5927 0.6427  4 C 1.51
Hg 0.2192 0.7115 0.8851  2 I 2.72-2.73
H 0.7043 0.1462 0.3901  1 C 1.09
I 0.7563 0.8299 0.0252  1 Hg 2.73
H 0.9470 0.4649 0.6934  1 C 1.10
H 0.4902 0.5765 0.0475  1 C 1.10
H 0.9407 0.5589 0.7541  1 C 1.10
I 0.9954 0.2445 0.1100  2 Hg 2.83-3.13
H 0.2043 0.3538 0.3901  1 C 1.09
H 0.9565 0.2157 0.8017  1 C 1.10
H 0.0425 0.1818 0.8670  1 C 1.09
Hg 0.0759 0.9001 0.4537  4 I 2.81-3.08
I 0.7455 0.3509 0.7510  1 Hg 2.72
I 0.2545 0.6491 0.2490  1 Hg 2.72
I 0.9954 0.7445 0.3900  2 Hg 2.83-3.13
H 0.1989 0.3802 0.2957  1 C 1.10
H 0.9575 0.3182 0.3670  1 C 1.09
I 0.7545 0.8509 0.2490  1 Hg 2.72
H 0.9470 0.9649 0.8066  1 C 1.10
C 0.0322 0.9645 0.2018  3 H 1.10
H 0.0444 0.0422 0.7993  1 C 1.10
C 0.3207 0.9024 0.6500  3 H 1.09-1.10
I 0.2455 0.6491 0.7490  1 Hg 2.72
H 0.4565 0.7843 0.6983  1 C 1.10
H 0.4556 0.5422 0.2007  1 C 1.10
C 0.4678 0.9645 0.7018  3 H 1.10
H 0.0593 0.4411 0.2459  1 C 1.10
N 0.4258 0.9073 0.6427  4 C 1.51
H 0.2080 0.4695 0.3611  1 C 1.09
C 0.5322 0.5355 0.2018  3 H 1.10
Hg 0.7808 0.7885 0.3851  2 I 2.72-2.73
H 0.4493 0.5238 0.9223  1 C 1.09
H 0.5593 0.0589 0.2459  1 C 1.10
N 0.9258 0.0927 0.8573  4 C 1.51
I 0.7485 0.0827 0.6159  2 Hg 2.83-3.07
H 0.8858 0.0651 0.9655  1 C 1.10
H 0.0425 0.6818 0.6330  1 C 1.09
H 0.8858 0.5651 0.5345  1 C 1.10
Hg 0.2192 0.2115 0.6149  2 I 2.72-2.73
I 0.2437 0.1701 0.9748  1 Hg 2.73
Hg 0.4241 0.9001 0.9537  4 I 2.81-3.08
H 0.7920 0.0305 0.8611  1 C 1.09
H 0.1142 0.4349 0.4655  1 C 1.10
H 0.5425 0.3182 0.8670  1 C 1.09
I 0.2455 0.1491 0.7510  1 Hg 2.72
C 0.0553 0.9506 0.0702  3 H 1.09-1.10
I 0.7545 0.3509 0.2510  1 Hg 2.72
H 0.5435 0.7157 0.1983  1 C 1.10
C 0.0322 0.4645 0.2982  3 H 1.10
I 0.5046 0.7445 0.8900  2 Hg 2.83-3.13
H 0.0507 0.5238 0.4223  1 C 1.09
C 0.1793 0.9024 0.1500  3 H 1.09-1.10
H 0.8011 0.1198 0.7957  1 C 1.10
I 0.2485 0.9173 0.8841  2 Hg 2.83-3.07
H 0.9902 0.9235 0.0475  1 C 1.10
Hg 0.4241 0.4001 0.5463  4 I 2.81-3.08
C 0.4674 0.3136 0.8552  3 H 1.09-1.10
H 0.5098 0.4235 0.9525  1 C 1.10
H 0.1142 0.9349 0.0345  1 C 1.10
H 0.5679 0.7279 0.1040  1 C 1.10
C 0.9678 0.0355 0.7982  3 H 1.10
H 0.9493 0.4762 0.5777  1 C 1.09
Hg 0.0759 0.4001 0.0463  4 I 2.81-3.08
I 0.5046 0.2445 0.6100  2 Hg 2.83-3.13
H 0.2957 0.3538 0.8901  1 C 1.09
I 0.2485 0.4173 0.6159  2 Hg 2.83-3.07
H 0.6989 0.1198 0.2957  1 C 1.10
C 0.8207 0.5976 0.6500  3 H 1.09-1.10
H 0.7957 0.6462 0.6099  1 C 1.09
I 0.7437 0.3299 0.9748  1 Hg 2.73
H 0.6142 0.5651 0.0345  1 C 1.10
I 0.0508 0.9452 0.5996  2 Hg 2.81-3.08
H 0.6989 0.6198 0.2043  1 C 1.10
H 0.9556 0.9578 0.2007  1 C 1.10
C 0.9674 0.6864 0.6448  3 H 1.09-1.10
I 0.0046 0.7555 0.8900  2 Hg 2.83-3.13
H 0.7957 0.1462 0.8901  1 C 1.09
C 0.6793 0.5976 0.1500  3 H 1.09-1.10
H 0.2920 0.9695 0.6389  1 C 1.09
I 0.4954 0.2555 0.1100  2 Hg 2.83-3.13
Hg 0.9241 0.0999 0.5463  4 I 2.81-3.08
Hg 0.7192 0.2885 0.6149  2 I 2.72-2.73
H 0.9575 0.8182 0.1330  1 C 1.09
I 0.2545 0.1491 0.2510  1 Hg 2.72
H 0.1989 0.8802 0.2043  1 C 1.10
N 0.4258 0.4073 0.8573  4 C 1.51
N 0.0742 0.9073 0.1427  4 C 1.51
Hg 0.7192 0.7885 0.8851  2 I 2.72-2.73
H 0.0530 0.0351 0.1934  1 C 1.10
H 0.5444 0.4578 0.7993  1 C 1.10
H 0.0679 0.2721 0.3960  1 C 1.10
H 0.0593 0.9411 0.2541  1 C 1.10
I 0.7563 0.3299 0.4748  1 Hg 2.73
H 0.2920 0.4695 0.8611  1 C 1.09
H 0.2043 0.8538 0.1099  1 C 1.09
C 0.0326 0.3136 0.3552  3 H 1.09-1.10
I 0.7437 0.8299 0.5252  1 Hg 2.73
C 0.3207 0.4024 0.8500  3 H 1.09-1.10
C 0.4447 0.9506 0.5702  3 H 1.09-1.10
H 0.2080 0.9695 0.1389  1 C 1.09
I 0.7515 0.5827 0.3841  2 Hg 2.83-3.07
H 0.4321 0.2721 0.8960  1 C 1.10
C 0.5326 0.1864 0.3552  3 H 1.09-1.10
H 0.8011 0.6198 0.7043  1 C 1.10
H 0.0098 0.5765 0.5475  1 C 1.10
I 0.4492 0.4452 0.4004  2 Hg 2.81-3.08
H 0.5435 0.2157 0.3017  1 C 1.10
H 0.5098 0.9235 0.5475  1 C 1.10
C 0.0553 0.4506 0.4298  3 H 1.09-1.10
I 0.2563 0.6701 0.0252  1 Hg 2.73
C 0.4447 0.4506 0.9298  3 H 1.09-1.10
H 0.4407 0.9411 0.7541  1 C 1.10
H 0.2957 0.8538 0.6099  1 C 1.09
H 0.3011 0.8802 0.7043  1 C 1.10
C 0.1793 0.4024 0.3500  3 H 1.09-1.10
Hg 0.2808 0.7115 0.3851  2 I 2.72-2.73
H 0.4575 0.6818 0.1330  1 C 1.09
H 0.4470 0.5351 0.8066  1 C 1.10
N 0.0742 0.4073 0.3573  4 C 1.51
I 0.7455 0.8509 0.7490  1 Hg 2.72
H 0.4493 0.0238 0.5777  1 C 1.09
H 0.3858 0.4349 0.9655  1 C 1.10
H 0.9321 0.7279 0.6040  1 C 1.10
C 0.9447 0.5494 0.5702  3 H 1.09-1.10
I 0.4492 0.9452 0.0996  2 Hg 2.81-3.08
C 0.5322 0.0355 0.2982  3 H 1.10
I 0.2515 0.9173 0.3841  2 Hg 2.83-3.07
H 0.9321 0.2279 0.8960  1 C 1.10
C 0.6793 0.0976 0.3500  3 H 1.09-1.10
I 0.2563 0.1701 0.4748  1 Hg 2.73
H 0.9565 0.7157 0.6983  1 C 1.10
Hg 0.5759 0.0999 0.0463  4 I 2.81-3.08
C 0.9447 0.0494 0.9298  3 H 1.09-1.10
I 0.5508 0.5548 0.5996  2 Hg 2.81-3.08
N 0.5742 0.5927 0.1427  4 C 1.51
C 0.5553 0.0494 0.4298  3 H 1.09-1.10
H 0.4407 0.4411 0.7459  1 C 1.10
C 0.8207 0.0976 0.8500  3 H 1.09-1.10
H 0.5530 0.4649 0.1934  1 C 1.10
H 0.5679 0.2279 0.3960  1 C 1.10
I 0.5508 0.0548 0.9004  2 Hg 2.81-3.08
H 0.7043 0.6462 0.1099  1 C 1.09
H 0.4575 0.1818 0.3670  1 C 1.09
I 0.9492 0.0548 0.4004  2 Hg 2.81-3.08
H 0.0679 0.7721 0.1040  1 C 1.10
H 0.0098 0.0765 0.9525  1 C 1.10
H 0.4565 0.2843 0.8017  1 C 1.10
H 0.7080 0.0305 0.3611  1 C 1.09
C 0.5553 0.5494 0.0702  3 H 1.09-1.10
C 0.9674 0.1864 0.8552  3 H 1.09-1.10
C 0.4678 0.4645 0.7982  3 H 1.10